(1)
The following is a DFT calculation (PBE+U) of Y4V6O21 after structural relaxation.

Mass density ... 3.8 g/cm3
E_form ... -2.53 eV per atom
Polymorph energy (0 for the lowest one) ... 8.16 eV/f.u.
Crystal system ... monoclinic

Unit cell a=14.195 b=7.526 c=16.491 alpha=90.00 beta=96.66 gamma=90.00
Space group C2/m (No. 12)
Unique sites:
Y  0.000  0.000  0.000
Y  0.000  0.500  0.500
Y  0.098  0.235  0.328
Y  0.250  0.250  0.000
V  0.000  0.000  0.500
V  0.000  0.500  0.000
V  0.084  0.258  0.853
V  0.189  0.500  0.162
V  0.223  0.000  0.632
V  0.250  0.250  0.500
O  0.032  0.000  0.870
O  0.036  0.267  0.752
O  0.054  0.500  0.101
O  0.060  0.000  0.401
O  0.082  0.264  0.975
O  0.104  0.000  0.576
O  0.107  0.287  0.480
O  0.117  0.500  0.865
O  0.135  0.500  0.354
O  0.150  0.309  0.206
O  0.199  0.194  0.859
O  0.205  0.000  0.729
O  0.207  0.500  0.048
O  0.242  0.000  0.498
O  0.243  0.248  0.613



(2)
The following is a DFT calculation (PBE+U) of LiMn2O4 after structural relaxation.

Mass density ... 4.0 g/cm3
E_form ... -2.04 eV per atom
Polymorph energy (0 for the lowest one) ... 0.17 eV/f.u.
Crystal system ... triclinic

Unit cell a=8.661 b=13.124 c=13.173 alpha=83.80 beta=70.82 gamma=70.77
Space group P1 (No. 1)
Unique sites:
Li  0.000  0.000  0.000
Li  0.000  0.330  0.664
Li  0.003  0.662  0.330
Li  0.250  0.500  0.500
Li  0.253  0.162  0.831
Li  0.257  0.829  0.164
Li  0.330  0.995  0.336
Li  0.334  0.663  0.669
Li  0.338  0.325  0.000
Li  0.583  0.162  0.170
Li  0.588  0.495  0.836
Li  0.588  0.825  0.500
Li  0.669  0.662  0.001
Li  0.671  0.330  0.336
Li  0.676  0.995  0.663
Li  0.912  0.829  0.837
Li  0.916  0.495  0.164
Li  0.919  0.162  0.500
Mn  0.120  0.246  0.256
Mn  0.122  0.579  0.920
Mn  0.124  0.909  0.585
Mn  0.289  0.246  0.420
Mn  0.291  0.079  0.581
Mn  0.294  0.081  0.085
Mn  0.294  0.412  0.250
Mn  0.294  0.412  0.750
Mn  0.294  0.744  0.415
Mn  0.294  0.913  0.750
Mn  0.297  0.746  0.920
Mn  0.299  0.578  0.081
Mn  0.464  0.915  0.915
Mn  0.466  0.246  0.580
Mn  0.467  0.579  0.245
Mn  0.620  0.916  0.086
Mn  0.625  0.081  0.915
Mn  0.626  0.746  0.245
Mn  0.628  0.415  0.585
Mn  0.629  0.581  0.415
Mn  0.629  0.746  0.756
Mn  0.630  0.079  0.420
Mn  0.631  0.409  0.085
Mn  0.635  0.245  0.744
Mn  0.790  0.581  0.585
Mn  0.794  0.913  0.250
Mn  0.798  0.244  0.915
Mn  0.954  0.579  0.755
Mn  0.956  0.415  0.415
Mn  0.958  0.079  0.744
Mn  0.958  0.244  0.085
Mn  0.958  0.745  0.081
Mn  0.959  0.409  0.915
Mn  0.962  0.079  0.255
Mn  0.963  0.743  0.585
Mn  0.966  0.909  0.415
O  0.027  0.589  0.600
O  0.028  0.423  0.761
O  0.030  0.255  0.922
O  0.036  0.089  0.100
O  0.037  0.923  0.261
O  0.039  0.923  0.739
O  0.040  0.401  0.261
O  0.041  0.259  0.410
O  0.042  0.755  0.421
O  0.048  0.065  0.590
O  0.049  0.738  0.927
O  0.053  0.584  0.074
O  0.182  0.572  0.762
O  0.184  0.089  0.251
O  0.186  0.416  0.908
O  0.190  0.409  0.408
O  0.193  0.901  0.427
O  0.194  0.072  0.738
O  0.203  0.235  0.100
O  0.203  0.755  0.577
O  0.212  0.739  0.074
O  0.228  0.240  0.574
O  0.244  0.910  0.908
O  0.246  0.572  0.238
O  0.342  0.253  0.262
O  0.344  0.916  0.592
O  0.360  0.584  0.926
O  0.377  0.086  0.426
O  0.384  0.589  0.401
O  0.388  0.070  0.921
O  0.394  0.753  0.763
O  0.394  0.924  0.073
O  0.399  0.415  0.092
O  0.401  0.409  0.592
O  0.402  0.736  0.251
O  0.406  0.252  0.738
O  0.535  0.239  0.427
O  0.539  0.086  0.573
O  0.541  0.759  0.910
O  0.542  0.069  0.081
O  0.547  0.565  0.091
O  0.548  0.423  0.239
O  0.549  0.901  0.761
O  0.550  0.901  0.240
O  0.554  0.736  0.401
O  0.557  0.569  0.578
O  0.559  0.401  0.739
O  0.562  0.235  0.900
O  0.682  0.924  0.928
O  0.685  0.588  0.251
O  0.699  0.259  0.589
O  0.699  0.759  0.091
O  0.712  0.735  0.600
O  0.714  0.255  0.079
O  0.718  0.424  0.427
O  0.726  0.589  0.751
O  0.728  0.089  0.748
O  0.729  0.401  0.927
O  0.733  0.072  0.262
O  0.740  0.916  0.408
O  0.846  0.910  0.092
O  0.854  0.753  0.238
O  0.858  0.424  0.573
O  0.861  0.736  0.751
O  0.862  0.236  0.749
O  0.870  0.401  0.073
O  0.874  0.089  0.900
O  0.875  0.569  0.422
O  0.886  0.065  0.410
O  0.889  0.566  0.910
O  0.902  0.236  0.250
O  0.906  0.900  0.573



(3)
The following is a DFT calculation (PBE+U) of CrC6O6 after structural relaxation.

Mass density ... 1.7 g/cm3
E_form ... -0.87 eV per atom
Polymorph energy (0 for the lowest one) ... 0.00 eV/f.u.
Crystal system ... orthorhombic

Unit cell a=12.035 b=11.358 c=6.476 alpha=90.00 beta=90.00 gamma=90.00
Space group Pnma (No. 62)
Unique sites:
Cr  0.127  0.250  0.062
C  0.032  0.131  0.177
C  0.040  0.250  0.813
C  0.215  0.250  0.309
C  0.221  0.129  0.947
O  0.011  0.750  0.339
O  0.026  0.560  0.755
O  0.223  0.556  0.377
O  0.231  0.750  0.958



(4)
The following is a DFT calculation (PBE+U) of Ca6MnSi6Pb2S2O32 after structural relaxation.

Mass density ... 3.5 g/cm3
E_form ... -2.47 eV per atom
Crystal system ... monoclinic

Unit cell a=13.280 b=8.200 c=13.007 alpha=90.00 beta=104.09 gamma=90.00
Space group C2/m (No. 12)
Unique sites:
Ca  0.055  0.000  0.232
Ca  0.199  0.233  0.676
Mn  0.000  0.000  0.500
Si  0.062  0.324  0.372
Si  0.239  0.500  0.515
Pb  0.107  0.500  0.130
S  0.233  0.500  0.892
O  0.002  0.500  0.637
O  0.011  0.168  0.614
O  0.049  0.188  0.901
O  0.109  0.293  0.270
O  0.155  0.000  0.108
O  0.158  0.340  0.480
O  0.174  0.000  0.553
O  0.183  0.351  0.833
O  0.220  0.500  0.000
O  0.225  0.000  0.358
O  0.230  0.000  0.775



(5)
The following is a DFT calculation (PBE+U) of W8O21 after structural relaxation.

Mass density ... 7.7 g/cm3
E_form ... -2.14 eV per atom
Crystal system ... orthorhombic

Unit cell a=18.420 b=21.940 c=3.857 alpha=90.00 beta=90.00 gamma=90.00
Space group Pbam (No. 55)
Unique sites:
W  0.013  0.113  0.000
W  0.057  0.404  0.000
W  0.089  0.726  0.000
W  0.090  0.254  0.000
W  0.145  0.558  0.000
W  0.159  0.987  0.000
W  0.223  0.153  0.000
W  0.248  0.333  0.000
O  0.009  0.319  0.000
O  0.010  0.793  0.000
O  0.012  0.119  0.500
O  0.035  0.564  0.000
O  0.059  0.401  0.500
O  0.075  0.047  0.000
O  0.079  0.922  0.000
O  0.090  0.254  0.500
O  0.091  0.723  0.500
O  0.112  0.162  0.000
O  0.124  0.468  0.000
O  0.138  0.340  0.000
O  0.146  0.559  0.500
O  0.161  0.989  0.500
O  0.164  0.652  0.000
O  0.164  0.792  0.000
O  0.202  0.244  0.000
O  0.223  0.152  0.500
O  0.228  0.915  0.000
O  0.240  0.059  0.000
O  0.243  0.331  0.500